No. 1
Material: Ho4C7
Method: DFT, PBE
State: relaxed

```
44
Lattice="-9.774 -7.514 -2.274 1.394 -0.809 -3.318 7.578 -10.926 3.529" Properties=species:S:1:pos:R:3 pbc="T T T"
C 1.829 -10.201 1.014
C -2.631 -9.048 -3.078
C -1.569 -10.814 -0.148
C 7.161 -11.894 0.456
C -0.978 -16.153 -1.810
C 1.483 -5.394 -0.407
C -6.092 -10.327 -3.091
C -2.285 -13.855 -1.656
C 2.748 -11.127 0.872
C 4.128 -7.421 -0.826
C -1.770 -5.972 -1.498
C 0.176 -3.096 -0.253
C -1.998 -4.975 -2.351
C 3.738 -12.036 1.000
C 4.647 -8.242 0.078
C 0.968 -13.276 -0.565
C 5.289 -8.921 1.028
C -2.398 -4.062 -3.227
C -4.931 -11.828 -1.238
C -7.964 -7.354 -2.519
C 0.884 -4.184 -0.445
C -5.450 -11.007 -2.141
C -1.686 -15.064 -1.619
C 1.195 -14.274 0.288
C -3.550 -8.122 -2.935
C -4.541 -7.213 -3.063
C 0.766 -8.435 -1.915
C 1.595 -15.187 1.164
Ho -1.645 -8.406 -0.784
Ho -2.440 -17.393 -0.086
Ho 0.421 -6.158 -2.548
Ho 0.842 -10.842 -1.279
Ho -1.223 -13.091 0.485
Ho 1.099 -17.181 -0.673
Ho 1.638 -7.722 0.316
Ho 3.408 -13.806 -0.842
Ho -6.089 -8.456 -1.530
Ho -2.441 -11.526 -2.379
Ho 5.287 -10.793 -0.533
Ho -4.211 -5.443 -1.221
Ho -1.902 -2.068 -1.391
Ho 1.637 -1.856 -1.977
Ho 3.730 -5.184 -1.650
Ho -4.532 -14.065 -0.413
```

Distance to the lowest polymorph of the same formula in eV per atom: 0.000
DFT formation energy in eV/f.u.: -3.2
E in eV per formula unit: -86.2

=====

No. 2
Material: Ti2ZnO4
Method: DFT, PBE
State: relaxed

```
14
Lattice="-1.254 4.372 -2.133 -1.548 -4.581 1.360 -2.770 3.626 9.060" Properties=species:S:1:pos:R:3 pbc="T T T"
Ti -2.703 -1.883 4.815
Ti -3.868 6.607 6.739
Ti -2.869 5.300 3.472
Ti -1.704 -3.191 1.548
O -2.389 3.756 2.151
O -1.635 2.769 -0.315
O -2.786 1.708 4.143
O -2.230 -3.343 3.496
O -3.342 6.760 4.791
O -1.401 -0.105 -0.386
O -3.182 -0.339 6.136
O -3.936 0.648 8.602
Zn -2.128 -0.253 2.290
Zn -3.443 3.670 5.997
```

Distance to the lowest polymorph of the same formula in eV per atom: 0.083
DFT formation energy in eV/f.u.: -19.5
E in eV per formula unit: -53.6

=====

No. 3
Material: FeC6N9
Method: DFT, PBE
State: relaxed

```
32
Lattice="-7.423 -1.509 1.710 -10.056 -3.787 8.651 -1.580 11.298 3.109" Properties=species:S:1:pos:R:3 pbc="T T T"
C -9.045 4.559 5.635
C -13.200 2.526 10.913
C -5.372 -0.004 1.600
C -9.528 -2.038 6.878
C -5.646 7.203 4.682
C -5.859 3.477 2.558
C -9.532 8.040 6.593
C -7.514 0.553 5.414
C -11.545 5.449 8.057
C -10.014 1.443 7.836
C -13.413 -1.200 8.788
C -13.687 6.007 11.871
N -8.901 7.447 7.393
N -10.158 -1.445 6.078
N -14.499 5.645 11.096
N -6.305 0.599 5.862
N -13.048 -1.450 9.883
N -2.756 10.270 4.035
N -8.532 4.808 6.667
N -8.880 -2.759 7.725
N -2.122 5.732 2.787
N -9.514 1.779 8.974
N -8.591 0.535 4.933
N -10.527 1.194 6.804
N -10.468 5.468 8.538
N -14.130 3.006 10.370
N -5.330 6.912 5.899
N -6.011 7.453 3.588
N -4.929 2.996 3.101
N -4.560 0.357 2.375
Fe -3.259 1.746 3.241
Fe -8.377 5.765 8.520
```

DFT formation energy in eV/f.u.: 3.9
E in eV per formula unit: -131.7